# 1
The following is a DFT calculation (GGA-PBE) of an optimized crystal structure of Na3ErTi2Nb2O12.

Summary:
As for the calculated volume: 11.783 Å³ per atom. The value obtained for the uncorrected energy is -158.52 eV/f.u. The space group is Pmc2_1, No. 26. The value obtained for the relative energy among the computed polymorphs is 0.00 kcal/mol of atoms. For the formation energy, the calculation gives -3.14 eV/atom. As for the corrected total energy (MP2020 scheme): -166.8 eV per formula unit.

```
data_Na3ErTi2Nb2O12
_chemical_formula_sum 'Na6 Er2 Ti4 Nb4 O24'
_symmetry_space_group_name_H-M 'P 1'
_symmetry_Int_Tables_number 1
_cell_length_a 5.4349
_cell_length_b 5.5921
_cell_length_c 15.5084
_cell_angle_alpha 90.00
_cell_angle_beta 90.00
_cell_angle_gamma 90.00
loop_
_symmetry_equiv_pos_as_xyz
'x,y,z'
loop_
_atom_site_label
_atom_site_type_symbol
_atom_site_fract_x
_atom_site_fract_y
_atom_site_fract_z
Na1 Na 0.0051 0.9688 0.3719
Na2 Na 0.0051 0.9688 0.8781
Na3 Na 0.4949 0.4688 0.8781
Na4 Na 0.4949 0.4688 0.3719
Na5 Na 0.5082 0.5351 0.6250
Na6 Na 0.9918 0.0351 0.6250
Er1 Er 0.5125 0.5651 0.1250
Er2 Er 0.9875 0.0651 0.1250
Ti1 Ti 0.0121 0.5236 0.9987
Ti2 Ti 0.4879 0.0236 0.2513
Ti3 Ti 0.4879 0.0236 0.9987
Ti4 Ti 0.0121 0.5236 0.2513
Nb1 Nb 0.5000 0.0009 0.7522
Nb2 Nb 0.5000 0.0009 0.4978
Nb3 Nb 0.0000 0.5009 0.4978
Nb4 Nb 0.0000 0.5009 0.7522
O1 O 0.1020 0.4584 0.1250
O2 O 0.0772 0.4823 0.6250
O3 O 0.2067 0.2084 0.4779
O4 O 0.1974 0.1908 0.2610
O5 O 0.2067 0.2084 0.7721
O6 O 0.1974 0.1908 0.9890
O7 O 0.2933 0.7084 0.4779
O8 O 0.2933 0.7084 0.7721
O9 O 0.3026 0.6908 0.2610
O10 O 0.3026 0.6908 0.9890
O11 O 0.3980 0.9584 0.1250
O12 O 0.4228 0.9823 0.6250
O13 O 0.5736 0.0168 0.8802
O14 O 0.5736 0.0168 0.3698
O15 O 0.7028 0.2787 0.0338
O16 O 0.7028 0.2787 0.2162
O17 O 0.7065 0.2916 0.5181
O18 O 0.7065 0.2916 0.7319
O19 O 0.7972 0.7787 0.0338
O20 O 0.7972 0.7787 0.2162
O21 O 0.7935 0.7916 0.5181
O22 O 0.7935 0.7916 0.7319
O23 O 0.9264 0.5168 0.8802
O24 O 0.9264 0.5168 0.3698
```

# 2
The following is a DFT calculation (GGA-PBE) of an optimized crystal structure of Na3ErTi2Nb2O12.

Summary:
As for the calculated volume: 11.718 Å³ per atom. The value obtained for the uncorrected energy is -158.41 eV/f.u. The space group is P1, No. 1. The value obtained for the relative energy among the computed polymorphs is 0.14 kcal/mol of atoms. For the formation energy, the calculation gives -3.14 eV/atom. As for the corrected total energy (MP2020 scheme): -166.7 eV per formula unit.

```
data_Na3ErTi2Nb2O12
_chemical_formula_sum 'Na3 Er1 Ti2 Nb2 O12'
_symmetry_space_group_name_H-M 'P 1'
_symmetry_Int_Tables_number 1
_cell_length_a 5.4139
_cell_length_b 5.5798
_cell_length_c 7.7586
_cell_angle_alpha 89.85
_cell_angle_beta 89.95
_cell_angle_gamma 89.32
loop_
_symmetry_equiv_pos_as_xyz
'x,y,z'
loop_
_atom_site_label
_atom_site_type_symbol
_atom_site_fract_x
_atom_site_fract_y
_atom_site_fract_z
Na1 Na 0.4889 0.5358 0.7488
Na2 Na 0.0062 0.0268 0.7494
Na3 Na 0.5088 0.4612 0.2499
Er1 Er 0.9881 0.9312 0.2502
Ti1 Ti 0.4898 0.9839 0.0077
Ti2 Ti 0.0023 0.4792 0.4925
Nb1 Nb 0.4929 0.9953 0.5114
Nb2 Nb 0.0034 0.4777 0.9886
O1 O 0.2053 0.8027 0.9737
O2 O 0.2942 0.3032 0.5387
O3 O 0.8068 0.2076 0.4439
O4 O 0.7193 0.7328 0.0550
O5 O 0.8034 0.2058 0.0570
O6 O 0.7232 0.7294 0.4457
O7 O 0.2033 0.8005 0.5273
O8 O 0.3005 0.2998 0.9598
O9 O 0.5707 0.9824 0.7533
O10 O 0.9157 0.4846 0.7472
O11 O 0.3973 0.0276 0.2464
O12 O 0.0798 0.5325 0.2534
```

# 3
The following is a DFT calculation (GGA-PBE) of an optimized crystal structure of NaErP4O12.

Summary:
As for the calculated volume: 12.981 Å³ per atom. The value obtained for the uncorrected energy is -130.98 eV/f.u. The space group is P2_1/c, No. 14. For the formation energy, the calculation gives -2.91 eV/atom. As for the corrected total energy (MP2020 scheme): -139.2 eV per formula unit.

```
data_NaErP4O12
_chemical_formula_sum 'Na4 Er4 P16 O48'
_symmetry_space_group_name_H-M 'P 1'
_symmetry_Int_Tables_number 1
_cell_length_a 13.2006
_cell_length_b 7.2506
_cell_length_c 12.1104
_cell_angle_alpha 53.74
_cell_angle_beta 90.00
_cell_angle_gamma 90.00
loop_
_symmetry_equiv_pos_as_xyz
'x,y,z'
loop_
_atom_site_label
_atom_site_type_symbol
_atom_site_fract_x
_atom_site_fract_y
_atom_site_fract_z
Na1 Na 0.2235 0.5609 0.9395
Na2 Na 0.2765 0.5609 0.4395
Na3 Na 0.7765 0.4391 0.0605
Na4 Na 0.7235 0.4391 0.5605
Er1 Er 0.7221 0.0332 0.4783
Er2 Er 0.2221 0.9668 0.0217
Er3 Er 0.2779 0.9668 0.5217
Er4 Er 0.7779 0.0332 0.9783
P1 P 0.1150 0.3911 0.2355
P2 P 0.3960 0.4953 0.2552
P3 P 0.1040 0.4953 0.7552
P4 P 0.6040 0.5047 0.7448
P5 P 0.6150 0.6089 0.2645
P6 P 0.8960 0.5047 0.2448
P7 P 0.3850 0.3911 0.7355
P8 P 0.8850 0.6089 0.7645
P9 P 0.6272 0.8455 0.8012
P10 P 0.0933 0.9403 0.2929
P11 P 0.4067 0.9403 0.7929
P12 P 0.9067 0.0597 0.7071
P13 P 0.1272 0.1545 0.6988
P14 P 0.3728 0.1545 0.1988
P15 P 0.8728 0.8455 0.3012
P16 P 0.5933 0.0597 0.2071
O1 O 0.6507 0.3955 0.3968
O2 O 0.1507 0.6045 0.1032
O3 O 0.3493 0.6045 0.6032
O4 O 0.8493 0.3955 0.8968
O5 O 0.6637 0.1488 0.0882
O6 O 0.1637 0.8512 0.4118
O7 O 0.3363 0.8512 0.9118
O8 O 0.8363 0.1488 0.5882
O9 O 0.8336 0.2917 0.3015
O10 O 0.3336 0.7083 0.1985
O11 O 0.1664 0.7083 0.6985
O12 O 0.6664 0.2917 0.8015
O13 O 0.8850 0.6911 0.0939
O14 O 0.3850 0.3089 0.4061
O15 O 0.1150 0.3089 0.9061
O16 O 0.6150 0.6911 0.5939
O17 O 0.6147 0.1217 0.3031
O18 O 0.7926 0.8330 0.3932
O19 O 0.1147 0.8783 0.1969
O20 O 0.8853 0.1217 0.8031
O21 O 0.8658 0.0209 0.1492
O22 O 0.3658 0.9791 0.3508
O23 O 0.1342 0.9791 0.8508
O24 O 0.6342 0.0209 0.6492
O25 O 0.5189 0.8575 0.8580
O26 O 0.0189 0.1425 0.6420
O27 O 0.4811 0.1425 0.1420
O28 O 0.9811 0.8575 0.3580
O29 O 0.9880 0.5695 0.7121
O30 O 0.4880 0.4305 0.7879
O31 O 0.0120 0.4305 0.2879
O32 O 0.5120 0.5695 0.2121
O33 O 0.6260 0.5924 0.8372
O34 O 0.1260 0.4076 0.6628
O35 O 0.3740 0.4076 0.1628
O36 O 0.8740 0.5924 0.3372
O37 O 0.9182 0.7843 0.7989
O38 O 0.4182 0.2157 0.7011
O39 O 0.0818 0.2157 0.2011
O40 O 0.5818 0.7843 0.2989
O41 O 0.8141 0.7237 0.6451
O42 O 0.3141 0.2763 0.8549
O43 O 0.1859 0.2763 0.3549
O44 O 0.6859 0.7237 0.1451
O45 O 0.7074 0.8330 0.8932
O46 O 0.2074 0.1670 0.6068
O47 O 0.2926 0.1670 0.1068
O48 O 0.3853 0.8783 0.6969
```

# 4
The following is a DFT calculation (GGA-PBE) of an optimized crystal structure of NaErPd6O8.

Summary:
As for the calculated volume: 12.294 Å³ per atom. The value obtained for the uncorrected energy is -94.20 eV/f.u. The space group is Pm-3, No. 200. For the formation energy, the calculation gives -1.45 eV/atom. As for the corrected total energy (MP2020 scheme): -99.7 eV per formula unit.

```
data_NaErPd6O8
_chemical_formula_sum 'Na1 Er1 Pd6 O8'
_symmetry_space_group_name_H-M 'P 1'
_symmetry_Int_Tables_number 1
_cell_length_a 5.8158
_cell_length_b 5.8158
_cell_length_c 5.8158
_cell_angle_alpha 90.00
_cell_angle_beta 90.00
_cell_angle_gamma 90.00
loop_
_symmetry_equiv_pos_as_xyz
'x,y,z'
loop_
_atom_site_label
_atom_site_type_symbol
_atom_site_fract_x
_atom_site_fract_y
_atom_site_fract_z
Na1 Na 0.5000 0.5000 0.5000
Er1 Er 0.0000 0.0000 0.0000
Pd1 Pd 0.2509 0.0000 0.5000
Pd2 Pd 0.7491 0.0000 0.5000
Pd3 Pd 0.5000 0.2509 0.0000
Pd4 Pd 0.5000 0.7491 0.0000
Pd5 Pd 0.0000 0.5000 0.2509
Pd6 Pd 0.0000 0.5000 0.7491
O1 O 0.2398 0.2398 0.2398
O2 O 0.7602 0.7602 0.7602
O3 O 0.7602 0.7602 0.2398
O4 O 0.7602 0.2398 0.7602
O5 O 0.2398 0.2398 0.7602
O6 O 0.2398 0.7602 0.2398
O7 O 0.2398 0.7602 0.7602
O8 O 0.7602 0.2398 0.2398
```

# 5
The following is a DFT calculation (GGA-PBE) of an optimized crystal structure of NaErS2O8.

Summary:
As for the calculated volume: 13.351 Å³ per atom. The value obtained for the uncorrected energy is -78.69 eV/f.u. The space group is P2_1/m, No. 11. For the formation energy, the calculation gives -2.54 eV/atom. As for the corrected total energy (MP2020 scheme): -84.2 eV per formula unit.

```
data_NaErS2O8
_chemical_formula_sum 'Na2 Er2 S4 O16'
_symmetry_space_group_name_H-M 'P 1'
_symmetry_Int_Tables_number 1
_cell_length_a 6.8943
_cell_length_b 4.7449
_cell_length_c 9.8740
_cell_angle_alpha 82.76
_cell_angle_beta 90.00
_cell_angle_gamma 90.00
loop_
_symmetry_equiv_pos_as_xyz
'x,y,z'
loop_
_atom_site_label
_atom_site_type_symbol
_atom_site_fract_x
_atom_site_fract_y
_atom_site_fract_z
Na1 Na 0.2500 0.3782 0.3594
Na2 Na 0.7500 0.6218 0.6406
Er1 Er 0.7500 0.6509 0.1759
Er2 Er 0.2500 0.3491 0.8241
S1 S 0.2500 0.8532 0.0705
S2 S 0.7500 0.1468 0.9295
S3 S 0.7500 0.1684 0.3992
S4 S 0.2500 0.8316 0.6008
O1 O 0.2500 0.8352 0.4529
O2 O 0.7500 0.1648 0.5471
O3 O 0.7500 0.8700 0.3655
O4 O 0.2500 0.1300 0.6345
O5 O 0.5763 0.2625 0.8538
O6 O 0.0763 0.7375 0.1462
O7 O 0.4237 0.7375 0.1462
O8 O 0.9237 0.2625 0.8538
O9 O 0.7500 0.8309 0.9448
O10 O 0.2500 0.1691 0.0552
O11 O 0.2500 0.7744 0.9273
O12 O 0.7500 0.2256 0.0727
O13 O 0.0794 0.6741 0.6685
O14 O 0.5794 0.3259 0.3315
O15 O 0.9206 0.3259 0.3315
O16 O 0.4206 0.6741 0.6685
```

# 6
The following is a DFT calculation (GGA-PBE) of an optimized crystal structure of NaErSe2.

Summary:
As for the calculated volume: 25.660 Å³ per atom. The value obtained for the uncorrected energy is -19.67 eV/f.u. The space group is R-3m, No. 166. For the formation energy, the calculation gives -1.93 eV/atom. As for the corrected total energy (MP2020 scheme): -20.6 eV per formula unit.

```
data_NaErSe2
_chemical_formula_sum 'Na1 Er1 Se2'
_symmetry_space_group_name_H-M 'P 1'
_symmetry_Int_Tables_number 1
_cell_length_a 4.1133
_cell_length_b 4.1133
_cell_length_c 7.3966
_cell_angle_alpha 73.86
_cell_angle_beta 73.86
_cell_angle_gamma 60.00
loop_
_symmetry_equiv_pos_as_xyz
'x,y,z'
loop_
_atom_site_label
_atom_site_type_symbol
_atom_site_fract_x
_atom_site_fract_y
_atom_site_fract_z
Na1 Na 0.5000 0.5000 0.5000
Er1 Er 0.0000 0.0000 0.0000
Se1 Se 0.2575 0.2575 0.2274
Se2 Se 0.7425 0.7425 0.7726
```